Version i
MgMnBiO5 | Materials Project | PBE with a Hubbard U | optimized geometry; volume = 114 Å³/f.u.; size of the total moment = 8.0 Bohr magnetons per cell
1.0
-4.081 -0.427 3.492
-1.475 -4.677 -5.872
5.578 -8.621 5.465
O Bi Mg Mn
20 4 4 4
direct
0.756 0.513 0.526
0.529 0.828 0.571
0.989 0.138 0.321
0.577 0.330 0.072
0.803 0.488 0.287
0.029 0.328 0.929
0.471 0.172 0.429
0.197 0.512 0.713
0.511 0.362 0.821
0.489 0.638 0.179
0.011 0.862 0.679
0.697 0.012 0.787
0.244 0.487 0.474
0.744 0.987 0.026
0.423 0.670 0.928
0.971 0.672 0.071
0.923 0.170 0.572
0.256 0.013 0.974
0.077 0.830 0.428
0.303 0.988 0.213
0.115 0.175 0.100
0.885 0.825 0.900
0.615 0.675 0.400
0.385 0.325 0.600
0.375 0.823 0.080
0.625 0.177 0.920
0.875 0.323 0.420
0.125 0.677 0.580
0.783 0.971 0.647
0.717 0.529 0.147
0.283 0.471 0.853
0.217 0.029 0.353

Version ii
MgMnBiO5 | Materials Project | PBE with a Hubbard U | optimized geometry; volume = 108 Å³/f.u.; size of the total moment = 16.0 Bohr magnetons per cell
1.0
-2.350 1.997 -4.271
-8.929 1.684 5.700
5.024 13.937 3.753
Bi O Mn Mg
8 40 8 8
direct
0.528 0.356 0.228
0.972 0.356 0.728
0.472 0.644 0.772
0.528 0.856 0.272
0.028 0.144 0.228
0.972 0.856 0.772
0.028 0.644 0.272
0.472 0.144 0.728
0.691 0.957 0.059
0.191 0.543 0.059
0.191 0.043 0.441
0.860 0.693 0.521
0.939 0.335 0.303
0.061 0.165 0.803
0.860 0.193 0.979
0.733 0.227 0.145
0.733 0.727 0.355
0.233 0.273 0.145
0.767 0.227 0.645
0.939 0.835 0.197
0.140 0.307 0.479
0.809 0.457 0.941
0.561 0.335 0.803
0.816 0.477 0.618
0.267 0.773 0.855
0.184 0.523 0.382
0.684 0.477 0.118
0.316 0.023 0.618
0.184 0.023 0.118
0.309 0.043 0.941
0.061 0.665 0.697
0.809 0.957 0.559
0.767 0.727 0.855
0.360 0.807 0.521
0.233 0.773 0.355
0.640 0.693 0.021
0.640 0.193 0.479
0.439 0.665 0.197
0.140 0.807 0.021
0.439 0.165 0.303
0.684 0.977 0.382
0.316 0.523 0.882
0.816 0.977 0.882
0.309 0.543 0.559
0.267 0.273 0.645
0.360 0.307 0.979
0.691 0.457 0.441
0.561 0.835 0.697
0.978 0.400 0.408
0.478 0.100 0.408
0.022 0.100 0.908
0.478 0.600 0.092
0.522 0.900 0.592
0.522 0.400 0.908
0.978 0.900 0.092
0.022 0.600 0.592
0.994 0.143 0.548
0.506 0.143 0.048
0.494 0.357 0.548
0.006 0.357 0.048
0.506 0.643 0.452
0.494 0.857 0.952
0.006 0.857 0.452
0.994 0.643 0.952

Most stable structure, least stable structure: version i, version ii.

Version i
MgBiMoO5 | Materials Project | PBE with a Hubbard U | optimized geometry; volume = 111 Å³/f.u.; size of the total moment = 8.0 Bohr magnetons per cell
1.0
5.255 0.000 0.000
0.000 10.489 0.000
0.000 0.000 16.094
O Mo Bi Mg
40 8 8 8
direct
0.781 0.971 0.547
0.781 0.471 0.953
0.915 0.328 0.305
0.585 0.828 0.695
0.751 0.719 0.030
0.798 0.979 0.878
0.415 0.172 0.305
0.794 0.717 0.854
0.294 0.783 0.854
0.085 0.172 0.805
0.281 0.029 0.953
0.251 0.281 0.470
0.206 0.283 0.146
0.298 0.521 0.878
0.249 0.281 0.970
0.706 0.717 0.354
0.585 0.328 0.805
0.749 0.719 0.530
0.298 0.021 0.622
0.281 0.529 0.547
0.794 0.217 0.646
0.202 0.521 0.378
0.702 0.479 0.122
0.085 0.672 0.695
0.798 0.479 0.622
0.719 0.971 0.047
0.702 0.979 0.378
0.719 0.471 0.453
0.251 0.781 0.030
0.415 0.672 0.195
0.249 0.781 0.530
0.294 0.283 0.646
0.219 0.529 0.047
0.915 0.828 0.195
0.749 0.219 0.970
0.751 0.219 0.470
0.206 0.783 0.354
0.706 0.217 0.146
0.202 0.021 0.122
0.219 0.029 0.453
0.508 0.878 0.584
0.508 0.378 0.916
0.008 0.622 0.584
0.492 0.622 0.084
0.008 0.122 0.916
0.992 0.378 0.416
0.992 0.878 0.084
0.492 0.122 0.416
0.978 0.859 0.778
0.978 0.359 0.722
0.522 0.359 0.222
0.478 0.641 0.778
0.478 0.141 0.722
0.022 0.141 0.222
0.522 0.859 0.278
0.022 0.641 0.278
0.028 0.632 0.943
0.972 0.868 0.443
0.472 0.132 0.057
0.528 0.368 0.557
0.028 0.132 0.557
0.472 0.632 0.443
0.972 0.368 0.057
0.528 0.868 0.943

Version ii
MgBiMoO5 | Materials Project | PBE with a Hubbard U | optimized geometry; volume = 124 Å³/f.u.; size of the total moment = 4.0 Bohr magnetons per cell
1.0
5.421 0.086 0.000
-2.181 7.696 0.000
0.000 0.000 11.851
O Mg Bi Mo
20 4 4 4
direct
0.256 0.013 0.972
0.954 0.175 0.566
0.744 0.987 0.028
0.546 0.325 0.066
0.509 0.660 0.184
0.491 0.340 0.816
0.994 0.328 0.928
0.454 0.675 0.934
0.244 0.487 0.472
0.006 0.672 0.072
0.218 0.522 0.706
0.782 0.478 0.294
0.046 0.825 0.434
0.009 0.160 0.316
0.718 0.022 0.794
0.282 0.978 0.206
0.506 0.172 0.428
0.991 0.840 0.684
0.494 0.828 0.572
0.756 0.513 0.528
0.612 0.171 0.921
0.388 0.829 0.079
0.112 0.671 0.579
0.888 0.329 0.421
0.100 0.155 0.104
0.600 0.655 0.396
0.900 0.845 0.896
0.400 0.345 0.604
0.272 0.475 0.862
0.228 0.025 0.362
0.728 0.525 0.138
0.772 0.975 0.638

Most stable structure, least stable structure: version ii, version i.

Version i
MgNiBiO5 | Materials Project | PBE with a Hubbard U | optimized geometry; volume = 99 Å³/f.u.; size of the total moment = 25.7 Bohr magnetons per cell
1.0
-2.429 3.574 2.989
-8.006 -6.023 0.695
5.810 -6.307 12.262
O Bi Mg Ni
40 8 8 8
direct
0.196 0.797 0.333
0.254 0.501 0.336
0.854 0.315 0.325
0.246 0.001 0.664
0.709 0.724 0.009
0.646 0.815 0.675
0.146 0.185 0.825
0.209 0.276 0.491
0.146 0.685 0.675
0.196 0.297 0.167
0.304 0.297 0.667
0.354 0.685 0.175
0.251 0.515 0.525
0.246 0.501 0.836
0.251 0.015 0.975
0.854 0.815 0.175
0.751 0.485 0.975
0.354 0.185 0.325
0.209 0.776 0.009
0.291 0.776 0.509
0.746 0.999 0.836
0.749 0.485 0.475
0.791 0.224 0.991
0.804 0.203 0.667
0.791 0.724 0.509
0.709 0.224 0.491
0.751 0.985 0.525
0.291 0.276 0.991
0.749 0.985 0.025
0.304 0.797 0.833
0.804 0.703 0.833
0.696 0.703 0.333
0.254 0.001 0.164
0.696 0.203 0.167
0.754 0.499 0.164
0.249 0.015 0.475
0.746 0.499 0.664
0.754 0.999 0.336
0.249 0.515 0.025
0.646 0.315 0.825
0.490 0.143 0.751
0.010 0.143 0.251
0.510 0.357 0.251
0.990 0.857 0.749
0.990 0.357 0.751
0.490 0.643 0.749
0.010 0.643 0.249
0.510 0.857 0.249
0.982 0.872 0.439
0.518 0.372 0.561
0.482 0.128 0.061
0.482 0.628 0.439
0.518 0.872 0.939
0.982 0.372 0.061
0.018 0.128 0.561
0.018 0.628 0.939
0.462 0.403 0.926
0.462 0.903 0.574
0.038 0.903 0.074
0.538 0.097 0.426
0.962 0.597 0.574
0.962 0.097 0.926
0.038 0.403 0.426
0.538 0.597 0.074

Version ii
MgNiBiO5 | Materials Project | PBE with a Hubbard U | optimized geometry; volume = 110 Å³/f.u.; size of the total moment = 12.0 Bohr magnetons per cell
1.0
10.462 0.000 0.000
0.000 5.362 0.000
0.000 2.794 7.821
O Bi Ni Mg
20 4 4 4
direct
0.533 0.698 0.815
0.544 0.845 0.157
0.720 0.715 0.505
0.542 0.248 0.506
0.280 0.285 0.495
0.956 0.845 0.657
0.791 0.186 0.308
0.967 0.698 0.315
0.456 0.155 0.843
0.209 0.814 0.692
0.467 0.302 0.185
0.958 0.248 0.006
0.042 0.752 0.994
0.033 0.302 0.685
0.044 0.155 0.343
0.709 0.186 0.808
0.220 0.285 0.995
0.780 0.715 0.005
0.291 0.814 0.192
0.458 0.752 0.494
0.895 0.027 0.842
0.605 0.027 0.342
0.105 0.973 0.158
0.395 0.973 0.658
0.384 0.120 0.061
0.616 0.880 0.939
0.884 0.880 0.439
0.116 0.120 0.561
0.909 0.468 0.168
0.409 0.532 0.332
0.591 0.468 0.668
0.091 0.532 0.832

Most stable structure, least stable structure: version ii, version i.

Version i
MgV2Bi2Pb2O10 | Materials Project | PBE with a Hubbard U | optimized geometry; volume = 282 Å³/f.u.; size of the total moment = 0.0 Bohr magnetons per cell
1.0
5.441 0.263 -2.512
-0.675 6.954 -2.739
-0.374 -0.021 7.600
Bi O Mg Pb V
2 10 1 2 2
direct
0.448 0.232 0.048
0.528 0.729 0.948
0.613 0.218 0.685
0.744 0.328 0.407
0.706 0.963 0.949
0.882 0.620 0.838
0.154 0.383 0.152
0.268 0.585 0.579
0.116 0.232 0.726
0.384 0.767 0.301
0.914 0.780 0.264
0.275 0.969 0.004
0.063 0.861 0.085
0.774 0.907 0.621
0.160 0.246 0.442
0.179 0.626 0.329
0.827 0.368 0.687

Version ii
MgV2Bi2Pb2O10 | Materials Project | PBE with a Hubbard U | optimized geometry; volume = 292 Å³/f.u.; size of the total moment = 0.2 Bohr magnetons per cell
1.0
5.461 -0.589 -2.561
-1.526 7.415 -2.036
-0.538 0.654 7.413
O Pb V Bi Mg
10 2 2 2 1
direct
0.927 0.614 0.720
0.743 0.005 0.024
0.061 0.368 0.253
0.624 0.324 0.372
0.125 0.265 0.719
0.819 0.641 0.218
0.267 0.006 0.000
0.654 0.232 0.734
0.334 0.749 0.620
0.388 0.693 0.268
0.238 0.129 0.331
0.800 0.956 0.734
0.878 0.368 0.670
0.150 0.618 0.339
0.399 0.769 0.951
0.597 0.246 0.024
0.686 0.591 0.401

Version iii
MgV2Bi2Pb2O10 | Materials Project | PBE with a Hubbard U | optimized geometry; volume = 324 Å³/f.u.; size of the total moment = 0.0 Bohr magnetons per cell
1.0
5.836 0.000 -2.419
-1.765 8.017 -4.257
-0.175 -1.341 7.825
O Bi Pb V Mg
10 2 2 2 1
direct
0.075 0.427 0.150
0.680 0.276 0.360
0.206 0.000 0.000
0.935 0.767 0.359
0.320 0.724 0.640
0.925 0.573 0.850
0.065 0.233 0.641
0.425 0.767 0.359
0.575 0.233 0.641
0.794 0.000 0.000
0.564 0.714 0.128
0.436 0.286 0.872
0.142 0.234 0.284
0.858 0.766 0.716
0.183 0.669 0.366
0.817 0.331 0.634
0.500 0.000 0.000

Most stable structure, least stable structure: version i, version iii.